Below is Mg2Cr3InS8 after structural relaxation, with properties calculated at the PBE level.

Properties
- E_form: -26.7 kcal/mol of atoms
- E: -5.73 eV per atom

Cell lengths 7.3027, 7.3027, 18.1971 Å; angles 90.00, 90.00, 120.00 degrees
Closest atoms and distances in Å follow each position.
Space group R-3m (No. 166, hexagonal axes)
Inequivalent atoms, fractional coordinates:
Mg 0.0000 0.0000 0.1250 [6 per cell]  4 S 2.44-2.52
Cr 0.0000 0.5000 0.0000 [9 per cell]  6 S 2.43-2.46
In 0.0000 0.0000 0.5000 [3 per cell]  6 S 2.61
S 0.0000 0.0000 0.2635 [6 per cell]  3 Cr 2.46, 1 Mg 2.52
S 0.0224 0.5112 0.2609 [18 per cell]  2 Cr 2.43, 1 Mg 2.44, 1 In 2.61